(1)
The following is a PBE calculation of RuBr3 after structural relaxation, from Materials Project.

Output
Formation energy from the elements = -722 meV per atom

The structure in POSCAR format:
```
RuBr3
1.0
5.926 0.000 0.000
0.000 7.142 0.000
0.000 0.000 12.413
Br Ru
12 4
Direct
0.500 0.603 0.858 Br
0.000 0.889 0.858 Br
0.500 0.031 0.000 Br
0.000 0.461 0.000 Br
0.000 0.397 0.358 Br
0.500 0.111 0.358 Br
0.000 0.969 0.500 Br
0.500 0.603 0.142 Br
0.000 0.397 0.642 Br
0.500 0.111 0.642 Br
0.000 0.889 0.142 Br
0.500 0.539 0.500 Br
0.750 0.746 0.000 Ru
0.250 0.254 0.500 Ru
0.250 0.746 0.000 Ru
0.750 0.254 0.500 Ru
```

(2)
The following is a PBE calculation of Nd2Ni2Sn after structural relaxation, from Materials Project.

Output
Formation energy from the elements = -520 meV per atom

The structure in POSCAR format:
```
Nd2Ni2Sn
1.0
-3.243 2.087 4.048
-1.176 4.955 -2.309
-0.892 -5.313 -1.496
Ni Sn Nd
2 1 2
Direct
0.708 0.500 0.208 Ni
0.292 0.500 0.792 Ni
0.000 0.000 0.000 Sn
0.296 0.796 0.500 Nd
0.704 0.204 0.500 Nd
```